(1)
Cs6Cr2O7 PBE with a Hubbard U optimized geometry; theoretical density = 4.6 g cm⁻³; corrected total energy (MP2020 scheme) = -5.817 eV per atom; space-group type = P2_1/c, No. 14; total DFT energy (no corrections) = -156.90 eV per cell; crystal system = monoclinic
1.0
7.3530 0.0000 0.0000
0.0000 9.9321 0.0000
-7.2101 0.0000 10.0918
Cs Cr O
12 4 14
Direct
0.0461 0.1444 0.4165 Cs
0.0461 0.3556 0.9165 Cs
0.2031 0.5272 0.4505 Cs
0.2031 0.9728 0.9505 Cs
0.4040 0.2140 0.2799 Cs
0.4040 0.2860 0.7799 Cs
0.5960 0.7140 0.2201 Cs
0.5960 0.7860 0.7201 Cs
0.7969 0.0272 0.0495 Cs
0.7969 0.4728 0.5495 Cs
0.9539 0.6444 0.0835 Cs
0.9539 0.8556 0.5835 Cs
0.3271 0.6337 0.8722 Cr
0.3271 0.8663 0.3722 Cr
0.6729 0.1337 0.6278 Cr
0.6729 0.3663 0.1278 Cr
0.0759 0.6606 0.8617 O
0.0759 0.8394 0.3617 O
0.2658 0.5824 0.7158 O
0.2658 0.9176 0.2158 O
0.4991 0.7175 0.4308 O
0.4991 0.7825 0.9308 O
0.5000 0.0000 0.5000 O
0.5000 0.5000 0.0000 O
0.5009 0.2175 0.0692 O
0.5009 0.2825 0.5692 O
0.7342 0.0824 0.7842 O
0.7342 0.4176 0.2842 O
0.9241 0.1606 0.6383 O
0.9241 0.3394 0.1383 O


(2)
La2NbNiO6 PBE with a Hubbard U optimized geometry; theoretical density = 6.7 g cm⁻³; corrected total energy (MP2020 scheme) = -8.609 eV per atom; space-group type = P2_1/c, No. 14; total DFT energy (no corrections) = -158.86 eV per cell; crystal system = monoclinic
1.0
5.7129 0.0000 0.0000
0.0000 5.6993 0.0000
-5.7016 0.0000 8.0059
La Nb Ni O
4 2 2 12
Direct
0.2402 0.0563 0.2501 La
0.2402 0.4437 0.7501 La
0.7598 0.5563 0.2499 La
0.7598 0.9437 0.7499 La
0.5000 0.0000 0.0000 Nb
0.5000 0.5000 0.5000 Nb
0.0000 0.0000 0.5000 Ni
0.0000 0.5000 0.0000 Ni
0.1587 0.1973 0.9562 O
0.1587 0.3027 0.4562 O
0.2403 0.7079 0.9446 O
0.2403 0.7921 0.4446 O
0.3454 0.0147 0.7513 O
0.3454 0.4853 0.2513 O
0.6546 0.5147 0.7487 O
0.6546 0.9853 0.2487 O
0.7597 0.2079 0.5554 O
0.7597 0.2921 0.0554 O
0.8413 0.6973 0.5438 O
0.8413 0.8027 0.0438 O


(3)
LiMn3B3O9 PBE with a Hubbard U optimized geometry; energy above the most stable polymorph in this dataset = 0.012 eV per atom; theoretical density = 3.1 g cm⁻³; corrected total energy (MP2020 scheme) = -8.266 eV per atom; space-group type = P-1, No. 2; total DFT energy (no corrections) = -242.14 eV per cell; crystal system = triclinic
1.0
5.2608 0.0000 0.0000
0.2240 6.1670 0.0000
2.5268 1.6040 11.4169
Li Mn B O
2 6 6 18
Direct
0.1957 0.4651 0.2959 Li
0.8043 0.5349 0.7041 Li
0.0143 0.0430 0.2866 Mn
0.3320 0.2885 0.0385 Mn
0.3433 0.3749 0.6195 Mn
0.6567 0.6251 0.3805 Mn
0.6680 0.7115 0.9615 Mn
0.9857 0.9570 0.7134 Mn
0.0769 0.7254 0.4967 B
0.2490 0.5728 0.8341 B
0.4112 0.0760 0.8305 B
0.5888 0.9240 0.1695 B
0.7510 0.4272 0.1659 B
0.9231 0.2746 0.5033 B
0.0004 0.3623 0.1754 O
0.9996 0.6377 0.8246 O
0.0189 0.7168 0.3858 O
0.0956 0.2088 0.4135 O
0.2361 0.1526 0.9178 O
0.3225 0.6427 0.5094 O
0.3315 0.5765 0.9404 O
0.3572 0.0932 0.7177 O
0.3583 0.0308 0.1535 O
0.4355 0.5201 0.7418 O
0.5645 0.4799 0.2582 O
0.6417 0.9692 0.8465 O
0.6428 0.9068 0.2823 O
0.6685 0.4235 0.0596 O
0.6775 0.3573 0.4906 O
0.7639 0.8474 0.0822 O
0.9044 0.7912 0.5865 O
0.9811 0.2832 0.6142 O


Question: Which formula does entry 3 have?
Answer: LiMn3B3O9